(1)
Ta9Ni2S6 after structural relaxation. Source: Materials Project, functional PBE-GGA.

Results
Formation enthalpy at 0 K = -0.922 eV/atom
E_tot = -155.76 eV/cell
Calculated density = 10.52 g cm⁻³
MP2020-corrected energy = -9.34 eV per atom

Cell lengths 10.1999, 10.1999, 3.3965 Å; angles 90.00, 90.00, 120.00 degrees
With the nearest neighbours (Å) after each atom.
Fractional coordinates of all 17 atoms:
1 Ta 0.0000 0.4543 0.0000  3 S 2.52-2.55
2 Ta 0.1974 0.7368 0.5000  3 S 2.40-2.53, 2 Ni 2.51
3 Ta 0.2632 0.4605 0.5000  3 S 2.40-2.53, 2 Ni 2.51
4 Ta 0.4543 0.0000 0.0000  3 S 2.52-2.55
5 Ta 0.4605 0.2632 0.5000  3 S 2.40-2.53, 2 Ni 2.51
6 Ta 0.5395 0.8026 0.5000  3 S 2.40-2.53, 2 Ni 2.51
7 Ta 0.5457 0.5457 0.0000  3 S 2.52-2.55
8 Ta 0.7368 0.1974 0.5000  3 S 2.40-2.53, 2 Ni 2.51
9 Ta 0.8026 0.5395 0.5000  3 S 2.40-2.53, 2 Ni 2.51
10 Ni 0.3333 0.6667 0.0000  6 Ta 2.51
11 Ni 0.6667 0.3333 0.0000  6 Ta 2.51
12 S 0.0000 0.2715 0.5000  4 Ta 2.40-2.52
13 S 0.0000 0.7044 0.0000  5 Ta 2.53-2.55
14 S 0.2715 0.0000 0.5000  4 Ta 2.40-2.52
15 S 0.2956 0.2956 0.0000  5 Ta 2.53-2.55
16 S 0.7044 0.0000 0.0000  5 Ta 2.53-2.55
17 S 0.7285 0.7285 0.5000  4 Ta 2.40-2.52


(2)
Ta4NiS8 after structural relaxation. Source: Materials Project, functional PBE-GGA.

Results
Size of the total moment = 0.045 μB per atom
Formation enthalpy at 0 K = -1.256 eV/atom
E_tot = -98.61 eV/cell
Calculated density = 7.19 g cm⁻³
MP2020-corrected energy = -7.89 eV per atom

Cell lengths 3.3691, 3.3691, 24.4260 Å; angles 90.00, 90.00, 120.00 degrees
With the nearest neighbours (Å) after each atom.
Fractional coordinates of all 13 atoms:
1 Ta 0.0000 0.0000 0.1240  6 S 2.49-2.51
2 Ta 0.0000 0.0000 0.3751  6 S 2.49
3 Ta 0.0000 0.0000 0.6249  6 S 2.49
4 Ta 0.0000 0.0000 0.8760  6 S 2.49-2.51
5 Ni 0.0000 0.0000 0.0000  6 S 2.42
6 S 0.3333 0.6667 0.0591  3 Ni 2.42, 3 Ta 2.51
7 S 0.3333 0.6667 0.1875  3 Ta 2.49
8 S 0.3333 0.6667 0.5615  3 Ta 2.49
9 S 0.3333 0.6667 0.6885  3 Ta 2.49
10 S 0.6667 0.3333 0.3115  3 Ta 2.49
11 S 0.6667 0.3333 0.4385  3 Ta 2.49
12 S 0.6667 0.3333 0.8125  3 Ta 2.49
13 S 0.6667 0.3333 0.9409  3 Ni 2.42, 3 Ta 2.51


(3)
Ta2NiS4 after structural relaxation. Source: Materials Project, functional PBE-GGA.

Results
Size of the total moment = 0.062 μB per atom
Formation enthalpy at 0 K = -1.163 eV/atom
E_tot = -52.17 eV/cell
Calculated density = 7.60 g cm⁻³
MP2020-corrected energy = -7.74 eV per atom

Cell lengths 3.3505, 3.3505, 12.3398 Å; angles 90.00, 90.00, 120.00 degrees
With the nearest neighbours (Å) after each atom.
Fractional coordinates of all 7 atoms:
1 Ta 0.0000 0.0000 0.2393  6 S 2.48
2 Ta 0.0000 0.0000 0.7607  6 S 2.48
3 Ni 0.0000 0.0000 0.0000  6 S 2.38
4 S 0.3333 0.6667 0.1130  3 Ni 2.38, 3 Ta 2.48
5 S 0.3333 0.6667 0.3649  3 Ta 2.48
6 S 0.6667 0.3333 0.6351  3 Ta 2.48
7 S 0.6667 0.3333 0.8870  3 Ni 2.38, 3 Ta 2.48


(4)
Ta2Ni3S8 after structural relaxation. Source: Materials Project, functional PBE-GGA.

Results
Formation enthalpy at 0 K = -1.047 eV/atom
E_tot = -167.46 eV/cell
Calculated density = 5.45 g cm⁻³
MP2020-corrected energy = -6.75 eV per atom

Cell lengths 10.1730, 14.2200, 3.3463 Å; angles 90.00, 90.00, 90.00 degrees
With the nearest neighbours (Å) after each atom.
Fractional coordinates of all 26 atoms:
1 Ta 0.2014 0.1191 0.0000  6 S 2.41-2.49
2 Ta 0.2986 0.6191 0.0000  6 S 2.41-2.49
3 Ta 0.7014 0.3809 0.0000  6 S 2.41-2.49
4 Ta 0.7986 0.8809 0.0000  6 S 2.41-2.49
5 Ni 0.0000 0.0000 0.5000  4 S 2.22
6 Ni 0.1304 0.7252 0.5000  5 S 2.25-2.34
7 Ni 0.3696 0.2252 0.5000  5 S 2.25-2.34
8 Ni 0.5000 0.5000 0.5000  4 S 2.22
9 Ni 0.6304 0.7748 0.5000  5 S 2.25-2.34
10 Ni 0.8696 0.2748 0.5000  5 S 2.25-2.34
11 S 0.0273 0.1550 0.5000  2 Ni 2.22-2.34
12 S 0.0599 0.6321 0.0000  2 Ni 2.25, 1 Ta 2.44
13 S 0.2179 0.9922 0.5000  1 Ni 2.22, 2 Ta 2.47
14 S 0.2483 0.2854 0.0000  2 Ni 2.25, 1 Ta 2.41
15 S 0.2517 0.7854 0.0000  2 Ni 2.25, 1 Ta 2.41
16 S 0.2821 0.4922 0.5000  1 Ni 2.22, 2 Ta 2.47
17 S 0.4401 0.1321 0.0000  2 Ni 2.25, 1 Ta 2.44
18 S 0.4727 0.6550 0.5000  2 Ni 2.22-2.34
19 S 0.5273 0.3450 0.5000  2 Ni 2.22-2.34
20 S 0.5599 0.8679 0.0000  2 Ni 2.25, 1 Ta 2.44
21 S 0.7179 0.5078 0.5000  1 Ni 2.22, 2 Ta 2.47
22 S 0.7483 0.2146 0.0000  2 Ni 2.25, 1 Ta 2.41
23 S 0.7517 0.7146 0.0000  2 Ni 2.25, 1 Ta 2.41
24 S 0.7821 0.0078 0.5000  1 Ni 2.22, 2 Ta 2.47
25 S 0.9401 0.3679 0.0000  2 Ni 2.25, 1 Ta 2.44
26 S 0.9727 0.8450 0.5000  2 Ni 2.22-2.34


(5)
Ti3NiS6 after structural relaxation. Source: Materials Project, functional PBE-GGA.

Results
Formation enthalpy at 0 K = -1.494 eV/atom
E_tot = -132.42 eV/cell
Calculated density = 3.87 g cm⁻³
MP2020-corrected energy = -6.92 eV per atom

Cell lengths 5.8678, 5.8678, 11.3580 Å; angles 90.00, 90.00, 120.00 degrees
With the nearest neighbours (Å) after each atom.
Fractional coordinates of all 20 atoms:
1 Ti 0.0000 0.0000 0.0000  6 S 2.44
2 Ti 0.0000 0.0000 0.5000  6 S 2.44
3 Ti 0.3333 0.6667 0.0057  6 S 2.42-2.46
4 Ti 0.3333 0.6667 0.4943  6 S 2.42-2.46
5 Ti 0.6667 0.3333 0.5057  6 S 2.42-2.46
6 Ti 0.6667 0.3333 0.9943  6 S 2.42-2.46
7 Ni 0.3333 0.6667 0.7500  6 S 2.38
8 Ni 0.6667 0.3333 0.2500  6 S 2.38
9 S 0.0046 0.3355 0.8720  1 Ni 2.38, 3 Ti 2.42-2.46
10 S 0.0046 0.6691 0.6280  1 Ni 2.38, 3 Ti 2.42-2.46
11 S 0.3309 0.3355 0.6280  1 Ni 2.38, 3 Ti 2.42-2.46
12 S 0.3309 0.9954 0.8720  1 Ni 2.38, 3 Ti 2.42-2.46
13 S 0.3355 0.0046 0.3720  1 Ni 2.38, 3 Ti 2.42-2.46
14 S 0.3355 0.3309 0.1280  1 Ni 2.38, 3 Ti 2.42-2.46
15 S 0.6645 0.6691 0.8720  1 Ni 2.38, 3 Ti 2.42-2.46
16 S 0.6645 0.9954 0.6280  1 Ni 2.38, 3 Ti 2.42-2.46
17 S 0.6691 0.0046 0.1280  1 Ni 2.38, 3 Ti 2.42-2.46
18 S 0.6691 0.6645 0.3720  1 Ni 2.38, 3 Ti 2.42-2.46
19 S 0.9954 0.3309 0.3720  1 Ni 2.38, 3 Ti 2.42-2.46
20 S 0.9954 0.6645 0.1280  1 Ni 2.38, 3 Ti 2.42-2.46


(6)
Ti3NiS6 after structural relaxation. Source: Materials Project, functional PBE-GGA.

Results
Formation enthalpy at 0 K = -1.495 eV/atom
E_tot = -66.21 eV/cell
Calculated density = 3.87 g cm⁻³
MP2020-corrected energy = -6.92 eV per atom

Cell lengths 6.6135, 6.6135, 6.6135 Å; angles 52.70, 52.70, 52.70 degrees
With the nearest neighbours (Å) after each atom.
Fractional coordinates of all 10 atoms:
1 Ti 0.0000 0.0000 0.0000  6 S 2.44
2 Ti 0.3295 0.3295 0.3295  6 S 2.42-2.46
3 Ti 0.6705 0.6705 0.6705  6 S 2.42-2.46
4 Ni 0.5000 0.5000 0.5000  6 S 2.38
5 S 0.0901 0.4160 0.7497  1 Ni 2.38, 3 Ti 2.42-2.46
6 S 0.2503 0.9099 0.5840  1 Ni 2.38, 3 Ti 2.42-2.46
7 S 0.4160 0.7497 0.0901  1 Ni 2.38, 3 Ti 2.42-2.46
8 S 0.5840 0.2503 0.9099  1 Ni 2.38, 3 Ti 2.42-2.46
9 S 0.7497 0.0901 0.4160  1 Ni 2.38, 3 Ti 2.42-2.46
10 S 0.9099 0.5840 0.2503  1 Ni 2.38, 3 Ti 2.42-2.46


(7)
Ti4NiS8 after structural relaxation. Source: Materials Project, functional PBE-GGA.

Results
Formation enthalpy at 0 K = -1.522 eV/atom
E_tot = -86.22 eV/cell
Calculated density = 3.67 g cm⁻³
MP2020-corrected energy = -6.94 eV per atom

Cell lengths 6.6409, 6.6409, 8.1662 Å; angles 126.39, 126.39, 61.91 degrees
With the nearest neighbours (Å) after each atom.
Fractional coordinates of all 13 atoms:
1 Ti 0.2399 0.2399 0.4941  6 S 2.39-2.47
2 Ti 0.2446 0.7554 0.0000  6 S 2.42-2.46
3 Ti 0.7554 0.2446 0.0000  6 S 2.42-2.46
4 Ti 0.7601 0.7601 0.5059  6 S 2.39-2.47
5 Ni 0.5000 0.5000 0.5000  6 S 2.39-2.40
6 S 0.0458 0.0458 0.8344  3 Ti 2.39-2.42
7 S 0.0501 0.5394 0.3338  1 Ni 2.39, 3 Ti 2.44-2.46
8 S 0.4606 0.9499 0.6662  1 Ni 2.39, 3 Ti 2.44-2.46
9 S 0.4636 0.4636 0.1735  1 Ni 2.40, 3 Ti 2.46-2.47
10 S 0.5364 0.5364 0.8265  1 Ni 2.40, 3 Ti 2.46-2.47
11 S 0.5394 0.0501 0.3338  1 Ni 2.39, 3 Ti 2.44-2.46
12 S 0.9499 0.4606 0.6662  1 Ni 2.39, 3 Ti 2.44-2.46
13 S 0.9542 0.9542 0.1656  3 Ti 2.39-2.42


(8)
Tl2Ni3S2 after structural relaxation. Source: Materials Project, functional PBE-GGA.

Results
Formation enthalpy at 0 K = -0.421 eV/atom
E_tot = -32.28 eV/cell
Calculated density = 8.78 g cm⁻³
MP2020-corrected energy = -4.76 eV per atom

Cell lengths 5.6214, 5.6214, 5.6214 Å; angles 59.02, 59.02, 59.02 degrees
With the nearest neighbours (Å) after each atom.
Fractional coordinates of all 7 atoms:
1 Tl 0.0000 0.0000 0.0000  6 Ni 2.77
2 Tl 0.5000 0.5000 0.5000  6 Ni 2.81
3 Ni 0.0000 0.5000 0.5000  2 S 2.17
4 Ni 0.5000 0.0000 0.5000  2 S 2.17
5 Ni 0.5000 0.5000 0.0000  2 S 2.17
6 S 0.2276 0.2276 0.2276  3 Ni 2.17
7 S 0.7724 0.7724 0.7724  3 Ni 2.17